CdInCu3Se4: optimized geometry, GGA-PBE.

Geometry as POSCAR:
```
CdInCu3Se4
1.0
6.012 0.000 0.000
0.000 6.012 0.000
0.000 0.000 6.012
Cd In Cu Se
1 1 3 4
Direct
0.000 0.000 0.000
0.500 0.500 0.500
0.000 0.500 0.500
0.500 0.000 0.500
0.500 0.500 0.000
0.252 0.252 0.748
0.252 0.748 0.252
0.748 0.252 0.252
0.748 0.748 0.748
```

The calculation puts the electronic total energy at -3.456 eV/atom. The calculation puts the total energy after the MP2020 corrections at -3.6657 eV per atom. For the formation energy, the calculation gives -3.0 eV/f.u.